Entry 1:
This record from the Materials Project describes an optimized crystal structure of NaMg6Ti. The functional is GGA-PBE.

Geometry as POSCAR:
```
NaMg6Ti
1.0
-3.265 3.140 -2.323
-5.027 -2.562 3.601
1.710 7.482 7.710
Na Mg Ti
2 12 2
Cartesian
-2.717 6.543 7.084
-1.058 4.083 1.428
-2.765 1.549 0.402
-5.240 0.288 2.175
0.373 6.222 7.887
-2.279 4.870 9.787
-2.222 -0.006 3.114
-1.383 3.666 6.899
-4.423 4.009 6.057
-1.871 5.310 4.229
-2.996 1.200 5.832
-0.621 2.411 4.131
1.146 5.016 5.169
0.276 1.207 1.243
-3.566 2.825 3.252
-0.198 7.847 5.307
```

Results
**ΔE_f**: 18.4 kJ/mol of atoms
**Energy above the lowest structure with this stoichiometry**: 3 meV/atom
**V**: 371 Å³/cell

=====

Entry 2:
This record from the Materials Project describes an optimized crystal structure of NaMg14V. The functional is GGA-PBE.

Geometry as POSCAR:
```
NaMg14V
1.0
6.426 0.000 0.000
-3.213 5.565 0.000
0.000 0.000 10.166
Na Mg V
1 14 1
Cartesian
0.000 1.855 6.353
-1.602 4.640 1.271
-1.589 4.648 6.353
3.213 1.850 1.271
3.213 1.835 6.353
1.602 4.640 1.271
1.589 4.648 6.353
1.591 0.936 3.737
1.591 0.936 8.970
0.000 3.692 3.737
0.000 3.692 8.970
4.835 0.936 3.737
4.835 0.936 8.970
3.213 3.710 3.827
3.213 3.710 8.879
0.000 1.855 1.271
```

Results
**ΔE_f**: 10.9 kJ/mol of atoms
**Energy above the lowest structure with this stoichiometry**: 0 meV/atom
**V**: 364 Å³/cell